Entry 1:
First-principles (PBE) data for crystalline UInPt2 at its relaxed geometry, as listed in the Materials Project database.

Output
volume	21.04	Å³ per atom
DFT total energy	-6.962	eV per atom
energy relative to the elements	-0.42	eV/atom
magnetization	0.07	Bohr magnetons per cell

Lattice parameters (Å, degrees): 4.754 4.754 8.600 90.00 90.00 120.00
Fractional positions:
1 In 0.667 0.333 0.750
2 In 0.333 0.667 0.250
3 Pt 0.667 0.333 0.406
4 Pt 0.333 0.667 0.594
5 Pt 0.667 0.333 0.094
6 Pt 0.333 0.667 0.906
7 U 0.000 0.000 0.000
8 U 0.000 0.000 0.500

Entry 2:
First-principles (PBE) data for crystalline Sn11C2N10 at its relaxed geometry, as listed in the Materials Project database.

Output
volume	19.49	Å³ per atom
total energy after the MP2020 corrections	-0.452	Ry per atom
DFT total energy	-5.986	eV per atom
energy relative to the elements	0.20	eV/atom
magnetization	0.00	Bohr magnetons per cell

Lattice parameters (Å, degrees): 16.495 16.495 3.296 90.00 90.00 90.00
Fractional positions:
1 Sn 0.500 0.500 0.500
2 Sn 0.698 0.539 0.000
3 Sn 0.302 0.461 0.000
4 Sn 0.395 0.886 0.500
5 Sn 0.886 0.395 0.500
6 Sn 0.114 0.605 0.500
7 Sn 0.605 0.114 0.500
8 Sn 0.039 0.802 0.500
9 Sn 0.461 0.302 0.000
10 Sn 0.895 0.614 0.000
11 Sn 0.725 0.725 0.500
12 Sn 0.198 0.961 0.500
13 Sn 0.225 0.775 0.000
14 Sn 0.000 0.000 0.000
15 Sn 0.802 0.039 0.500
16 Sn 0.275 0.275 0.500
17 Sn 0.961 0.198 0.500
18 Sn 0.539 0.698 0.000
19 Sn 0.614 0.895 0.000
20 Sn 0.386 0.105 0.000
21 Sn 0.775 0.225 0.000
22 Sn 0.105 0.386 0.000
23 N 0.875 0.313 0.000
24 N 0.625 0.813 0.500
25 N 0.313 0.875 0.000
26 N 0.687 0.125 0.000
27 N 0.289 0.711 0.500
28 N 0.606 0.394 0.500
29 N 0.665 0.665 0.000
30 N 0.125 0.687 0.000
31 N 0.894 0.894 0.000
32 N 0.813 0.625 0.500
33 N 0.789 0.789 0.000
34 N 0.335 0.335 0.000
35 N 0.375 0.187 0.500
36 N 0.835 0.165 0.500
37 N 0.711 0.289 0.500
38 N 0.106 0.106 0.000
39 N 0.187 0.375 0.500
40 N 0.165 0.835 0.500
41 N 0.211 0.211 0.000
42 N 0.394 0.606 0.500
43 C 0.343 0.657 0.500
44 C 0.843 0.843 0.000
45 C 0.157 0.157 0.000
46 C 0.657 0.343 0.500

Entry 3:
First-principles (PBE) data for crystalline CeGaNi4 at its relaxed geometry, as listed in the Materials Project database.

Output
volume	14.53	Å³ per atom
DFT total energy	-5.773	eV per atom
energy relative to the elements	-0.43	eV/atom
magnetization	0.01	Bohr magnetons per cell

Lattice parameters (Å, degrees): 5.090 5.090 3.886 90.00 90.00 120.00
Fractional positions:
1 Ni 0.831 0.661 0.500
2 Ni 0.339 0.169 0.500
3 Ni 0.667 0.333 0.000
4 Ni 0.831 0.169 0.500
5 Ce 0.333 0.667 0.000
6 Ga 0.000 0.000 0.000

Entry 4:
First-principles (PBE) data for crystalline GdZr at its relaxed geometry, as listed in the Materials Project database.

Output
volume	27.16	Å³ per atom
DFT total energy	-11.194	eV per atom
energy relative to the elements	0.12	eV/atom
magnetization	7.35	Bohr magnetons per cell

Lattice parameters (Å, degrees): 3.394 3.394 5.446 90.00 90.00 120.00
Fractional positions:
1 Zr 0.333 0.667 0.000
2 Gd 0.667 0.333 0.500

Entry 5:
First-principles (PBE) data for crystalline Al2O3 at its relaxed geometry, as listed in the Materials Project database.

Output
volume	10.72	Å³ per atom
total energy after the MP2020 corrections	-0.568	Ry per atom
DFT total energy	-7.315	eV per atom
energy relative to the elements	-3.26	eV/atom
magnetization	0.00	Bohr magnetons per cell

Lattice parameters (Å, degrees): 10.304 10.478 9.933 91.05 89.18 88.44
Fractional positions:
1 Al 0.793 0.153 0.346
2 Al 0.297 0.189 0.598
3 Al 0.117 0.185 0.875
4 Al 0.357 0.978 0.825
5 Al 0.735 0.822 0.764
6 Al 0.491 0.448 0.822
7 Al 0.545 0.299 0.062
8 Al 0.487 0.147 0.327
9 Al 0.245 0.669 0.165
10 Al 0.249 0.384 0.130
11 Al 0.034 0.606 0.648
12 Al 0.880 0.908 0.520
13 Al 0.199 0.472 0.893
14 Al 0.152 0.193 0.329
15 Al 0.629 0.887 0.324
16 Al 0.001 0.147 0.577
17 Al 0.934 0.392 0.758
18 Al 0.952 0.591 0.154
19 Al 0.578 0.013 0.054
20 Al 0.299 0.752 0.679
21 Al 0.863 0.287 0.108
22 Al 0.986 0.057 0.073
23 Al 0.799 0.827 0.032
24 Al 0.307 0.010 0.172
25 Al 0.589 0.024 0.578
26 Al 0.050 0.886 0.799
27 Al 0.386 0.832 0.369
28 Al 0.725 0.522 0.666
29 Al 0.684 0.432 0.337
30 Al 0.558 0.694 0.523
31 Al 0.503 0.713 0.935
32 Al 0.832 0.661 0.439
33 Al 0.527 0.301 0.558
34 Al 0.599 0.154 0.808
35 Al 0.303 0.514 0.485
36 Al 0.477 0.573 0.207
37 Al 0.152 0.929 0.543
38 Al 0.022 0.429 0.406
39 Al 0.065 0.868 0.241
40 Al 0.742 0.507 0.011
41 O 0.320 0.568 0.307
42 O 0.648 0.062 0.385
43 O 0.879 0.083 0.476
44 O 0.924 0.555 0.332
45 O 0.074 0.702 0.192
46 O 0.131 0.528 0.511
47 O 0.203 0.313 0.968
48 O 0.793 0.467 0.828
49 O 0.886 0.837 0.857
50 O 0.317 0.171 0.263
51 O 0.444 0.136 0.512
52 O 0.038 0.269 0.457
53 O 0.672 0.902 0.150
54 O 0.410 0.684 0.087
55 O 0.508 0.288 0.884
56 O 0.895 0.472 0.599
57 O 0.263 0.155 0.768
58 O 0.642 0.523 0.198
59 O 0.005 0.237 0.732
60 O 0.005 0.973 0.648
61 O 0.681 0.076 0.932
62 O 0.941 0.898 0.116
63 O 0.580 0.555 0.928
64 O 0.549 0.158 0.155
65 O 0.561 0.322 0.384
66 O 0.913 0.446 0.079
67 O 0.689 0.562 0.467
68 O 0.272 0.814 0.498
69 O 0.738 0.937 0.636
70 O 0.819 0.662 0.066
71 O 0.500 0.027 0.743
72 O 0.708 0.336 0.044
73 O 0.401 0.629 0.575
74 O 0.662 0.687 0.676
75 O 0.915 0.721 0.581
76 O 0.815 0.323 0.321
77 O 0.135 0.358 0.263
78 O 0.449 0.968 0.282
79 O 0.395 0.998 0.009
80 O 0.234 0.923 0.712
81 O 0.422 0.406 0.131
82 O 0.062 0.495 0.792
83 O 0.645 0.812 0.920
84 O 0.778 0.815 0.390
85 O 0.977 0.209 0.991
86 O 0.253 0.846 0.227
87 O 0.180 0.097 0.501
88 O 0.517 0.715 0.331
89 O 0.337 0.512 0.810
90 O 0.861 0.130 0.184
91 O 0.034 0.887 0.414
92 O 0.343 0.353 0.551
93 O 0.531 0.870 0.501
94 O 0.577 0.434 0.663
95 O 0.399 0.791 0.820
96 O 0.196 0.537 0.060
97 O 0.127 0.726 0.731
98 O 0.121 0.054 0.203
99 O 0.643 0.192 0.640
100 O 0.095 0.009 0.923

Entry 6:
First-principles (PBE) data for crystalline Ta at its relaxed geometry, as listed in the Materials Project database.

Output
volume	18.88	Å³ per atom
DFT total energy	-11.613	eV per atom
energy relative to the elements	0.24	eV/atom
magnetization	0.00	Bohr magnetons per cell
relative energy among the computed polymorphs	0.2449	eV per atom

Lattice parameters (Å, degrees): 2.989 2.989 2.989 60.00 60.00 60.00
Fractional positions:
1 Ta 0.000 0.000 0.000

Entry 7:
First-principles (PBE) data for crystalline Na2Cd3P4NClO14 at its relaxed geometry, as listed in the Materials Project database.

Output
volume	14.66	Å³ per atom
total energy after the MP2020 corrections	-0.460	Ry per atom
DFT total energy	-5.871	eV per atom
energy relative to the elements	-1.99	eV/atom
magnetization	8.00	Bohr magnetons per cell

Lattice parameters (Å, degrees): 11.278 11.278 14.382 60.22 60.22 27.80
Fractional positions:
1 O 0.450 0.464 0.144
2 O 0.872 0.464 0.761
3 O 0.735 0.504 0.114
4 O 0.504 0.735 0.614
5 O 0.624 0.835 0.424
6 O 0.265 0.496 0.886
7 O 0.496 0.265 0.386
8 O 0.536 0.128 0.739
9 O 0.959 0.367 0.514
10 O 0.464 0.450 0.644
11 O 0.128 0.536 0.239
12 O 0.464 0.872 0.261
13 O 0.597 0.090 0.209
14 O 0.367 0.959 0.014
15 O 0.376 0.165 0.576
16 O 0.550 0.536 0.856
17 O 0.633 0.041 0.986
18 O 0.090 0.597 0.709
19 O 0.403 0.910 0.791
20 O 0.571 0.645 0.454
21 O 0.910 0.403 0.291
22 O 0.835 0.624 0.924
23 O 0.429 0.355 0.546
24 O 0.645 0.571 0.954
25 O 0.165 0.376 0.076
26 O 0.536 0.550 0.356
27 O 0.355 0.429 0.046
28 O 0.041 0.633 0.486
29 Cd 0.161 0.142 0.658
30 Cd 0.142 0.161 0.158
31 Cd 0.456 0.544 0.750
32 Cd 0.544 0.456 0.250
33 Cd 0.858 0.839 0.842
34 Cd 0.839 0.858 0.342
35 P 0.623 0.615 0.335
36 P 0.377 0.385 0.665
37 P 0.385 0.377 0.165
38 P 0.615 0.623 0.835
39 P 0.325 0.357 0.497
40 P 0.643 0.675 0.003
41 P 0.357 0.325 0.997
42 P 0.675 0.643 0.503
43 Na 0.809 0.759 0.152
44 Na 0.241 0.191 0.348
45 Na 0.191 0.241 0.848
46 Na 0.759 0.809 0.652
47 Cl 0.963 0.037 0.750
48 Cl 0.037 0.963 0.250
49 N 0.000 0.000 0.000
50 N 0.000 0.000 0.500

Entry 8:
First-principles (PBE) data for crystalline MgIn at its relaxed geometry, as listed in the Materials Project database.

Output
volume	23.60	Å³ per atom
DFT total energy	-2.271	eV per atom
energy relative to the elements	-0.09	eV/atom

Lattice parameters (Å, degrees): 3.267 3.267 4.423 90.00 90.00 90.00
Fractional positions:
1 Mg 0.500 0.500 0.500
2 In 0.000 0.000 0.000